1.
Here is a relaxed Ca6P19Rh30 crystal from the Materials Project database. Energies are from GGA-PBE.

The value obtained for the energy of formation from the pure elements is -879 meV per atom.

```
data_Ca6P19Rh30
_cell_length_a 15.6780
_cell_length_b 15.6780
_cell_length_c 3.8322
_cell_angle_alpha 90.00
_cell_angle_beta 90.00
_cell_angle_gamma 120.00
_space_group_name_H-M_alt 'P 3'
_space_group_IT_number 143
loop_
_space_group_symop_operation_xyz
'x,y,z'
'-y,x-y,z'
'-x+y,-x,z'
loop_
_atom_site_label
_atom_site_type_symbol
_atom_site_fract_x
_atom_site_fract_y
_atom_site_fract_z
Ca1 Ca 0.0366 0.2737 0.0000
Ca2 Ca 0.4297 0.3695 0.5000
P1 P 0.0158 0.1183 0.5004
P2 P 0.0770 0.5501 0.0022
P3 P 0.1924 0.4100 0.4963
P4 P 0.2711 0.2336 0.0003
P5 P 0.3333 0.6667 0.6706
P6 P 0.3954 0.0997 0.4991
P7 P 0.5645 0.3494 0.9993
Rh1 Rh 0.0563 0.4378 0.4962
Rh2 Rh 0.0736 0.8227 0.5001
Rh3 Rh 0.1033 0.7144 0.0025
Rh4 Rh 0.1092 0.0943 0.0009
Rh5 Rh 0.1807 0.6431 0.5014
Rh6 Rh 0.2094 0.5194 0.9928
Rh7 Rh 0.2591 0.1274 0.5011
Rh8 Rh 0.4079 0.2070 0.9985
Rh9 Rh 0.4894 0.0826 0.9995
Rh10 Rh 0.5566 0.2379 0.4994
```

2.
Here is a relaxed CaP2Ru2 crystal from the Materials Project database. Energies are from GGA-PBE.

The value obtained for the energy of formation from the pure elements is -927 meV per atom.

```
data_CaP2Ru2
_cell_length_a 4.0794
_cell_length_b 4.0794
_cell_length_c 9.8544
_cell_angle_alpha 90.00
_cell_angle_beta 90.00
_cell_angle_gamma 90.00
_space_group_name_H-M_alt 'I 4/m m m'
_space_group_IT_number 139
_space_group_name_Hall '-I 4 2'
loop_
_atom_site_label
_atom_site_type_symbol
_atom_site_fract_x
_atom_site_fract_y
_atom_site_fract_z
Ca1 Ca 0.0000 0.0000 0.0000
P1 P 0.0000 0.0000 0.3670
Ru1 Ru 0.0000 0.5000 0.2500
```

3.
Here is a relaxed CaPSe3 crystal from the Materials Project database. Energies are from GGA-PBE.

The value obtained for the energy of formation from the pure elements is -1169 meV per atom.

```
data_CaPSe3
_cell_length_a 6.9603
_cell_length_b 7.6085
_cell_length_c 11.7349
_cell_angle_alpha 90.00
_cell_angle_beta 124.11
_cell_angle_gamma 90.00
_space_group_name_H-M_alt 'P 1 21/c 1'
_space_group_IT_number 14
loop_
_space_group_symop_operation_xyz
'x,y,z'
'-x,-y,-z'
'-x,y+1/2,-z+1/2'
'x,-y+1/2,z+1/2'
loop_
_atom_site_label
_atom_site_type_symbol
_atom_site_fract_x
_atom_site_fract_y
_atom_site_fract_z
Ca1 Ca 0.2157 0.1147 0.2528
P1 P 0.1283 0.6067 0.0640
Se1 Se 0.0973 0.1891 0.9357
Se2 Se 0.2731 0.7038 0.9492
Se3 Se 0.3885 0.0123 0.7655
```

4.
Here is a relaxed Ca3Si8P14 crystal from the Materials Project database. Energies are from GGA-PBE.

The value obtained for the energy of formation from the pure elements is -402 meV per atom.

```
data_Ca3Si8P14
_cell_length_a 12.2167
_cell_length_b 13.5335
_cell_length_c 6.2577
_cell_angle_alpha 90.00
_cell_angle_beta 90.96
_cell_angle_gamma 90.00
_space_group_name_H-M_alt 'P 1 21/c 1'
_space_group_IT_number 14
loop_
_space_group_symop_operation_xyz
'x,y,z'
'-x,-y,-z'
'-x,y+1/2,-z+1/2'
'x,-y+1/2,z+1/2'
loop_
_atom_site_label
_atom_site_type_symbol
_atom_site_fract_x
_atom_site_fract_y
_atom_site_fract_z
Ca1 Ca 0.0000 0.0000 0.0000
Ca2 Ca 0.3325 0.1565 0.8216
Si1 Si 0.0838 0.1871 0.4634
Si2 Si 0.1111 0.6860 0.0422
Si3 Si 0.3471 0.5458 0.8825
Si4 Si 0.3498 0.6877 0.3831
P1 P 0.1413 0.0527 0.6425
P2 P 0.1468 0.1773 0.1283
P3 P 0.1617 0.5471 0.8708
P4 P 0.1665 0.6716 0.3894
P5 P 0.4087 0.1056 0.2883
P6 P 0.4183 0.5526 0.2245
P7 P 0.4253 0.6791 0.7171
```

5.
Here is a relaxed CaSiP2 crystal from the Materials Project database. Energies are from GGA-PBE.

The value obtained for the energy of formation from the pure elements is -674 meV per atom.

```
data_CaSiP2
_cell_length_a 7.2046
_cell_length_b 7.2046
_cell_length_c 26.3201
_cell_angle_alpha 90.00
_cell_angle_beta 90.00
_cell_angle_gamma 90.00
_space_group_name_H-M_alt 'P 41 21 2'
_space_group_IT_number 92
loop_
_space_group_symop_operation_xyz
'x,y,z'
'-y+1/2,x+1/2,z+1/4'
'-x,-y,z+1/2'
'y+1/2,-x+1/2,z+3/4'
'x+1/2,-y+1/2,-z+3/4'
'-y,-x,-z+1/2'
'-x+1/2,y+1/2,-z+1/4'
'y,x,-z'
loop_
_atom_site_label
_atom_site_type_symbol
_atom_site_fract_x
_atom_site_fract_y
_atom_site_fract_z
Ca1 Ca 0.1229 0.1528 0.0692
Ca2 Ca 0.1280 0.3455 0.6855
Si1 Si 0.1161 0.6263 0.7942
Si2 Si 0.1169 0.1240 0.7997
P1 P 0.0671 0.8687 0.8481
P2 P 0.0730 0.3816 0.8475
P3 P 0.1119 0.6331 0.4920
P4 P 0.1153 0.1153 0.5000
P5 P 0.1356 0.8644 0.2500
```

6.
Here is a relaxed Ca3Pb crystal from the Materials Project database. Energies are from GGA-PBE.

The value obtained for the energy of formation from the pure elements is -371 meV per atom.

```
data_Ca3Pb
_cell_length_a 5.0805
_cell_length_b 5.0805
_cell_length_c 5.0805
_cell_angle_alpha 90.00
_cell_angle_beta 90.00
_cell_angle_gamma 90.00
_space_group_name_H-M_alt 'P m -3 m'
_space_group_IT_number 221
_space_group_name_Hall '-P 4 2 3'
loop_
_atom_site_label
_atom_site_type_symbol
_atom_site_fract_x
_atom_site_fract_y
_atom_site_fract_z
Ca1 Ca 0.0000 0.0000 0.5000
Pb1 Pb 0.5000 0.5000 0.5000
```

7.
Here is a relaxed CaPb crystal from the Materials Project database. Energies are from GGA-PBE.

The value obtained for the energy of formation from the pure elements is -521 meV per atom.

```
data_CaPb
_cell_length_a 3.6122
_cell_length_b 3.6122
_cell_length_c 4.6386
_cell_angle_alpha 90.00
_cell_angle_beta 90.00
_cell_angle_gamma 90.00
_space_group_name_H-M_alt 'P 4/m m m'
_space_group_IT_number 123
_space_group_name_Hall '-P 4 2'
loop_
_atom_site_label
_atom_site_type_symbol
_atom_site_fract_x
_atom_site_fract_y
_atom_site_fract_z
Ca1 Ca 0.0000 0.0000 0.0000
Pb1 Pb 0.5000 0.5000 0.5000
```

8.
Here is a relaxed CaPdPb crystal from the Materials Project database. Energies are from GGA-PBE.

The value obtained for the energy of formation from the pure elements is -620 meV per atom.

```
data_CaPdPb
_cell_length_a 7.3613
_cell_length_b 4.7923
_cell_length_c 8.3340
_cell_angle_alpha 90.00
_cell_angle_beta 90.00
_cell_angle_gamma 90.00
_space_group_name_H-M_alt 'P n m a'
_space_group_IT_number 62
loop_
_space_group_symop_operation_xyz
'x,y,z'
'-x,-y,-z'
'-x+1/2,-y,z+1/2'
'x+1/2,y,-z+1/2'
'x+1/2,-y+1/2,-z+1/2'
'-x+1/2,y+1/2,z+1/2'
'-x,y+1/2,-z'
'x,-y+1/2,z'
loop_
_atom_site_label
_atom_site_type_symbol
_atom_site_fract_x
_atom_site_fract_y
_atom_site_fract_z
Ca1 Ca 0.0191 0.2500 0.1951
Pd1 Pd 0.2173 0.7500 0.4037
Pb1 Pb 0.1780 0.2500 0.5793
```

9.
Here is a relaxed CaPdPb crystal from the Materials Project database. Energies are from GGA-PBE.

The value obtained for the energy of formation from the pure elements is -623 meV per atom.

```
data_CaPdPb
_cell_length_a 8.0383
_cell_length_b 8.0383
_cell_length_c 3.8670
_cell_angle_alpha 90.00
_cell_angle_beta 90.00
_cell_angle_gamma 120.00
_space_group_name_H-M_alt 'P -6 2 m'
_space_group_IT_number 189
_space_group_name_Hall 'P -6 -2'
loop_
_atom_site_label
_atom_site_type_symbol
_atom_site_fract_x
_atom_site_fract_y
_atom_site_fract_z
Ca1 Ca 0.0000 0.6010 0.0000
Pd1 Pd 0.0000 0.0000 0.0000
Pd2 Pd 0.3333 0.6667 0.5000
Pb1 Pb 0.0000 0.2704 0.5000
```

10.
Here is a relaxed Ca4Rh6Pb19 crystal from the Materials Project database. Energies are from GGA-PBE.

The value obtained for the energy of formation from the pure elements is -3 meV per atom.

```
data_Ca4Rh6Pb19
_cell_length_a 12.0452
_cell_length_b 12.0452
_cell_length_c 12.0452
_cell_angle_alpha 90.00
_cell_angle_beta 90.00
_cell_angle_gamma 90.00
_space_group_name_H-M_alt 'I 2 3'
_space_group_IT_number 197
_space_group_name_Hall 'I 2 2 3'
loop_
_atom_site_label
_atom_site_type_symbol
_atom_site_fract_x
_atom_site_fract_y
_atom_site_fract_z
Ca1 Ca 0.1704 0.1704 0.8296
Rh1 Rh 0.0000 0.3833 0.5000
Pb1 Pb 0.0000 0.0000 0.0000
Pb2 Pb 0.0000 0.0000 0.3080
Pb3 Pb 0.0359 0.3332 0.2831
```

11.
Here is a relaxed SrCaPb6 crystal from the Materials Project database. Energies are from GGA-PBE.

The value obtained for the energy of formation from the pure elements is -309 meV per atom.

```
data_SrCaPb6
_cell_length_a 5.0729
_cell_length_b 5.0729
_cell_length_c 9.8483
_cell_angle_alpha 90.00
_cell_angle_beta 90.00
_cell_angle_gamma 90.00
_space_group_name_H-M_alt 'P 4/m m m'
_space_group_IT_number 123
_space_group_name_Hall '-P 4 2'
loop_
_atom_site_label
_atom_site_type_symbol
_atom_site_fract_x
_atom_site_fract_y
_atom_site_fract_z
Sr1 Sr 0.0000 0.0000 0.0000
Ca1 Ca 0.0000 0.0000 0.5000
Pb1 Pb 0.0000 0.5000 0.2542
Pb2 Pb 0.5000 0.5000 0.0000
Pb3 Pb 0.5000 0.5000 0.5000
```

12.
Here is a relaxed SrCaPb crystal from the Materials Project database. Energies are from GGA-PBE.

The value obtained for the energy of formation from the pure elements is -583 meV per atom.

```
data_SrCaPb
_cell_length_a 8.5321
_cell_length_b 5.2343
_cell_length_c 9.7910
_cell_angle_alpha 90.00
_cell_angle_beta 90.00
_cell_angle_gamma 90.00
_space_group_name_H-M_alt 'P n m a'
_space_group_IT_number 62
loop_
_space_group_symop_operation_xyz
'x,y,z'
'-x,-y,-z'
'-x+1/2,-y,z+1/2'
'x+1/2,y,-z+1/2'
'x+1/2,-y+1/2,-z+1/2'
'-x+1/2,y+1/2,z+1/2'
'-x,y+1/2,-z'
'x,-y+1/2,z'
loop_
_atom_site_label
_atom_site_type_symbol
_atom_site_fract_x
_atom_site_fract_y
_atom_site_fract_z
Sr1 Sr 0.0217 0.2500 0.1811
Ca1 Ca 0.1488 0.2500 0.5692
Pb1 Pb 0.2374 0.7500 0.3888
```

13.
Here is a relaxed Ca2ZnPb crystal from the Materials Project database. Energies are from GGA-PBE.

The value obtained for the energy of formation from the pure elements is -447 meV per atom.

```
data_Ca2ZnPb
_cell_length_a 7.6751
_cell_length_b 7.6751
_cell_length_c 7.6751
_cell_angle_alpha 90.00
_cell_angle_beta 90.00
_cell_angle_gamma 90.00
_space_group_name_H-M_alt 'F m -3 m'
_space_group_IT_number 225
_space_group_name_Hall '-F 4 2 3'
loop_
_atom_site_label
_atom_site_type_symbol
_atom_site_fract_x
_atom_site_fract_y
_atom_site_fract_z
Ca1 Ca 0.2500 0.2500 0.2500
Zn1 Zn 0.0000 0.0000 0.0000
Pb1 Pb 0.0000 0.0000 0.5000
```

14.
Here is a relaxed CaPd2 crystal from the Materials Project database. Energies are from GGA-PBE.

The value obtained for the energy of formation from the pure elements is -397 meV per atom.

```
data_CaPd2
_cell_length_a 3.8567
_cell_length_b 3.8567
_cell_length_c 9.0938
_cell_angle_alpha 90.00
_cell_angle_beta 90.00
_cell_angle_gamma 90.00
_space_group_name_H-M_alt 'I 4/m m m'
_space_group_IT_number 139
_space_group_name_Hall '-I 4 2'
loop_
_atom_site_label
_atom_site_type_symbol
_atom_site_fract_x
_atom_site_fract_y
_atom_site_fract_z
Ca1 Ca 0.0000 0.0000 0.0000
Pd1 Pd 0.0000 0.5000 0.2500
```

15.
Here is a relaxed CaPd5 crystal from the Materials Project database. Energies are from GGA-PBE.

The value obtained for the energy of formation from the pure elements is -367 meV per atom.

```
data_CaPd5
_cell_length_a 5.3461
_cell_length_b 5.3461
_cell_length_c 4.4934
_cell_angle_alpha 90.00
_cell_angle_beta 90.00
_cell_angle_gamma 120.00
_space_group_name_H-M_alt 'P 6/m m m'
_space_group_IT_number 191
_space_group_name_Hall '-P 6 2'
loop_
_atom_site_label
_atom_site_type_symbol
_atom_site_fract_x
_atom_site_fract_y
_atom_site_fract_z
Ca1 Ca 0.0000 0.0000 0.0000
Pd1 Pd 0.0000 0.5000 0.5000
Pd2 Pd 0.3333 0.6667 0.0000
```

16.
Here is a relaxed Ca5Pd2 crystal from the Materials Project database. Energies are from GGA-PBE.

The value obtained for the energy of formation from the pure elements is -501 meV per atom.

```
data_Ca5Pd2
_cell_length_a 16.6668
_cell_length_b 6.6618
_cell_length_c 7.6805
_cell_angle_alpha 90.00
_cell_angle_beta 97.39
_cell_angle_gamma 90.00
_space_group_name_H-M_alt 'C 1 2/c 1'
_space_group_IT_number 15
loop_
_space_group_symop_operation_xyz
'x,y,z'
'-x,-y,-z'
'-x,y,-z+1/2'
'x,-y,z+1/2'
'x+1/2,y+1/2,z'
'-x+1/2,-y+1/2,-z'
'-x+1/2,y+1/2,-z+1/2'
'x+1/2,-y+1/2,z+1/2'
loop_
_atom_site_label
_atom_site_type_symbol
_atom_site_fract_x
_atom_site_fract_y
_atom_site_fract_z
Ca1 Ca 0.0000 0.0787 0.2500
Ca2 Ca 0.0912 0.3898 0.9188
Ca3 Ca 0.2172 0.0804 0.3197
Pd1 Pd 0.1104 0.2060 0.5810
```